--- one ---
# Al6CuP4H16O28

A relaxed Al6CuP4H16O28 crystal (GGA-PBE, the Materials Project).

Unit cell a=7.641 b=8.026 c=10.718 alpha=74.30 beta=69.37 gamma=63.46
Space group P-1 (No. 2)
Unique sites:
Al: 0.025 0.225 0.179 x2
Al: 0.288 0.756 0.236 x2
Al: 0.329 0.177 0.756 x2
Cu: 0.500 0.000 0.000 x1
P: 0.130 0.585 0.078 x2
P: 0.144 0.071 0.600 x2
H: 0.037 0.959 0.093 x2
H: 0.067 0.034 0.894 x2
H: 0.126 0.675 0.580 x2
H: 0.267 0.536 0.677 x2
H: 0.312 0.910 0.423 x2
H: 0.329 0.286 0.271 x2
H: 0.337 0.883 0.901 x2
H: 0.392 0.394 0.441 x2
O: 0.073 0.775 0.383 x2
O: 0.093 0.318 0.846 x2
O: 0.125 0.610 0.672 x2
O: 0.146 0.895 0.699 x2
O: 0.150 0.660 0.926 x2
O: 0.184 0.370 0.104 x2
O: 0.205 0.032 0.450 x2
O: 0.242 0.999 0.145 x2
O: 0.247 0.363 0.345 x2
O: 0.273 0.637 0.120 x2
O: 0.295 0.141 0.611 x2
O: 0.389 0.437 0.347 x2
O: 0.419 0.958 0.861 x2
O: 0.493 0.722 0.296 x2

Magnetization: 1.0 μB per cell

--- two ---
# Al6CuP4H16O28

A relaxed Al6CuP4H16O28 crystal (GGA-PBE, the Materials Project).

Unit cell a=7.472 b=7.713 c=10.066 alpha=68.62 beta=69.28 gamma=65.09
Space group P-1 (No. 2)
Unique sites:
Al: 0.214 0.321 0.248 x2
Al: 0.253 0.685 0.273 x2
Al: 0.255 0.998 0.755 x2
Cu: 0.500 0.500 0.000 x1
P: 0.152 0.111 0.058 x2
P: 0.341 0.888 0.456 x2
H: 0.082 0.221 0.569 x2
H: 0.112 0.417 0.684 x2
H: 0.149 0.680 0.052 x2
H: 0.152 0.622 0.591 x2
H: 0.355 0.335 0.435 x2
H: 0.359 0.555 0.748 x2
H: 0.360 0.335 0.837 x2
H: 0.480 0.847 0.914 x2
O: 0.037 0.211 0.675 x2
O: 0.076 0.867 0.897 x2
O: 0.078 0.555 0.687 x2
O: 0.182 0.271 0.095 x2
O: 0.201 0.097 0.394 x2
O: 0.226 0.143 0.888 x2
O: 0.232 0.583 0.123 x2
O: 0.265 0.425 0.369 x2
O: 0.285 0.729 0.432 x2
O: 0.286 0.905 0.130 x2
O: 0.307 0.846 0.624 x2
O: 0.434 0.136 0.619 x2
O: 0.438 0.427 0.804 x2
O: 0.485 0.782 0.844 x2

Magnetization: 1.0 μB per cell

Most favorable first, least favorable last: two, one

--- one ---
# MgAl2Cu4O8

A relaxed MgAl2Cu4O8 crystal (GGA-PBE, the Materials Project).

Unit cell a=6.1580 b=6.1580 c=15.0638 alpha=90.00 beta=90.00 gamma=120.00
Space group R3m (No. 160, hexagonal axes)
Unique sites:
Mg: 0.0000 0.0000 0.0000 x3
Al: 0.0000 0.0000 0.5011 x3
Al: 0.0000 0.0000 0.7500 x3
Cu: 0.0000 0.0000 0.1479 x3
Cu: 0.1967 0.3935 0.9518 x9
O: 0.0000 0.0000 0.3804 x3
O: 0.0000 0.0000 0.8719 x3
O: 0.0083 0.5041 0.3760 x9
O: 0.1721 0.3442 0.2077 x9

Magnetization: 12.0 μB per cell

--- two ---
# MgAl2Cu4O8

A relaxed MgAl2Cu4O8 crystal (GGA-PBE, the Materials Project).

Unit cell a=10.122 b=5.981 c=6.513 alpha=90.00 beta=128.32 gamma=90.00
Space group C2/m (No. 12)
Unique sites:
Mg: 0.000 0.000 0.000 x2
Al: 0.150 0.000 0.467 x4
Cu: 0.000 0.500 0.000 x2
Cu: 0.000 0.500 0.500 x2
Cu: 0.250 0.250 0.000 x4
O: 0.001 0.224 0.747 x8
O: 0.236 0.500 0.189 x4
O: 0.245 0.500 0.676 x4

Magnetization: 8.0 μB per cell

Most favorable first, least favorable last: two, one